# PBE BaY6Si3B6O24F2, relaxed
# V = 11.29 A^3/atom
# DFT formation energy = -3512 meV per atom
# Total moment = 0.00 Bohr magnetons per cell
# Total energy = -8.3275 eV/atom
data_BaY6Si3B6O24F2
_cell_length_a 10.7373
_cell_length_b 10.7373
_cell_length_c 4.7499
_cell_angle_alpha 90.00
_cell_angle_beta 90.00
_cell_angle_gamma 120.00
_symmetry_space_group_name_H-M 'P 3 m 1'
_symmetry_Int_Tables_number 156
loop_
_symmetry_equiv_pos_as_xyz
'x,y,z'
'-y,x-y,z'
'-x+y,-x,z'
'-y,-x,z'
'-x+y,y,z'
'x,x-y,z'
loop_
_atom_site_label
_atom_site_fract_x
_atom_site_fract_y
_atom_site_fract_z
_atom_site_occupancy
Ba1 0.0000 0.0000 0.0000 1
Y1 0.2150 0.4300 0.9503 1
Y2 0.4312 0.2156 0.9961 1
Si1 0.0140 0.5070 0.3959 1
B1 0.9999 0.2506 0.4778 1
O1 0.0019 0.2629 0.1772 1
O2 0.0254 0.3920 0.6181 1
O3 0.1115 0.2230 0.5996 1
O4 0.1478 0.5739 0.1777 1
O5 0.2867 0.1434 0.5934 1
O6 0.5694 0.1388 0.2255 1
F1 0.3333 0.6667 0.7441 1
F2 0.6667 0.3333 0.7932 1